No. 1
Density functional theory data (GGA+U) for a geometry-optimized MgNi2Mo2O8 structure.

```
data_MgNi2Mo2O8
_cell_length_a 4.895
_cell_length_b 5.885
_cell_length_c 5.124
_cell_angle_alpha 90.00
_cell_angle_beta 91.34
_cell_angle_gamma 90.00
_symmetry_space_group_name_H-M 'P 1 2 1'
_symmetry_Int_Tables_number 3
loop_
_symmetry_equiv_pos_as_xyz
'x,y,z'
'-x,y,-z'
loop_
_atom_site_label
_atom_site_fract_x
_atom_site_fract_y
_atom_site_fract_z
_atom_site_occupancy
Mg1 0.000 0.000 0.000 1
Ni1 0.000 0.458 0.000 1
Ni2 0.500 0.721 0.000 1
Mo1 0.000 0.896 0.500 1
Mo2 0.500 0.267 0.500 1
O1 0.147 0.717 0.785 1
O2 0.189 0.190 0.727 1
O3 0.303 0.983 0.287 1
O4 0.339 0.455 0.258 1
```

Summary:
DFT formation energy, eV per formula unit: -20.031
Polymorph energy (0 for the lowest one), eV/atom: 0.2112

***

No. 2
Density functional theory data (GGA+U) for a geometry-optimized SrCrO4 structure.

```
data_SrCrO4
_cell_length_a 7.343
_cell_length_b 8.340
_cell_length_c 7.071
_cell_angle_alpha 90.00
_cell_angle_beta 92.11
_cell_angle_gamma 90.00
_symmetry_space_group_name_H-M 'P 1 21/c 1'
_symmetry_Int_Tables_number 14
loop_
_symmetry_equiv_pos_as_xyz
'x,y,z'
'-x,-y,-z'
'-x,y+1/2,-z+1/2'
'x,-y+1/2,z+1/2'
loop_
_atom_site_label
_atom_site_fract_x
_atom_site_fract_y
_atom_site_fract_z
_atom_site_occupancy
Sr1 0.170 0.046 0.258 1
Cr1 0.278 0.001 0.716 1
O1 0.171 0.525 0.417 1
O2 0.194 0.635 0.064 1
O3 0.210 0.178 0.622 1
O4 0.499 0.007 0.259 1
```

Summary:
DFT formation energy, eV per formula unit: -14.167

***

No. 3
Density functional theory data (GGA+U) for a geometry-optimized Li9Mn7O16 structure.

```
data_Li9Mn7O16
_cell_length_a 3.013
_cell_length_b 10.199
_cell_length_c 10.790
_cell_angle_alpha 114.93
_cell_angle_beta 93.56
_cell_angle_gamma 93.65
_symmetry_space_group_name_H-M 'P -1'
_symmetry_Int_Tables_number 2
loop_
_symmetry_equiv_pos_as_xyz
'x,y,z'
'-x,-y,-z'
loop_
_atom_site_label
_atom_site_fract_x
_atom_site_fract_y
_atom_site_fract_z
_atom_site_occupancy
Li1 0.000 0.000 0.000 1
Li2 0.107 0.940 0.241 1
Li3 0.120 0.437 0.248 1
Li4 0.365 0.311 0.744 1
Li5 0.368 0.827 0.758 1
Mn1 0.000 0.500 0.000 1
Mn2 0.249 0.375 0.499 1
Mn3 0.250 0.876 0.502 1
Mn4 0.496 0.759 0.001 1
O1 0.021 0.717 0.105 1
O2 0.028 0.224 0.107 1
O3 0.156 0.165 0.381 1
O4 0.158 0.666 0.382 1
O5 0.343 0.087 0.616 1
O6 0.344 0.585 0.617 1
O7 0.414 0.538 0.887 1
O8 0.435 0.049 0.882 1
```

Summary:
DFT formation energy, eV per formula unit: -67.994
Polymorph energy (0 for the lowest one), eV/atom: 0.0198

***

No. 4
Density functional theory data (GGA+U) for a geometry-optimized Li5VP2O8F2 structure.

```
data_Li5VP2O8F2
_cell_length_a 10.0954
_cell_length_b 10.0954
_cell_length_c 6.5759
_cell_angle_alpha 90.00
_cell_angle_beta 90.00
_cell_angle_gamma 120.00
_symmetry_space_group_name_H-M 'P 3'
_symmetry_Int_Tables_number 143
loop_
_symmetry_equiv_pos_as_xyz
'x,y,z'
'-y,x-y,z'
'-x+y,-x,z'
loop_
_atom_site_label
_atom_site_fract_x
_atom_site_fract_y
_atom_site_fract_z
_atom_site_occupancy
Li1 0.0000 0.0000 0.0000 1
Li2 0.0000 0.0000 0.3971 1
Li3 0.0180 0.5367 0.6861 1
Li4 0.1659 0.3330 0.4514 1
Li5 0.3195 0.1339 0.2200 1
Li6 0.3333 0.6667 0.5095 1
Li7 0.3333 0.6667 0.9075 1
Li8 0.6667 0.3333 0.4402 1
Li9 0.6667 0.3333 0.9269 1
V1 0.1662 0.3333 0.9530 1
P1 0.0356 0.5214 0.2147 1
P2 0.2983 0.1468 0.6923 1
O1 0.0193 0.7399 0.7149 1
O2 0.0713 0.3871 0.1903 1
O3 0.1147 0.6115 0.4092 1
O4 0.1170 0.6250 0.0246 1
O5 0.2166 0.0424 0.8814 1
O6 0.2217 0.0570 0.4967 1
O7 0.4721 0.2124 0.6981 1
O8 0.5417 0.4039 0.2117 1
F1 0.0274 0.8461 0.1735 1
F2 0.1797 0.4859 0.7330 1
```

Summary:
DFT formation energy, eV per formula unit: -50.123
Polymorph energy (0 for the lowest one), eV/atom: 0.0460

***

No. 5
Density functional theory data (GGA+U) for a geometry-optimized MgCr2Fe4O10 structure.

```
data_MgCr2Fe4O10
_cell_length_a 5.131
_cell_length_b 5.737
_cell_length_c 7.516
_cell_angle_alpha 109.93
_cell_angle_beta 90.06
_cell_angle_gamma 116.49
_symmetry_space_group_name_H-M 'P 1'
_symmetry_Int_Tables_number 1
loop_
_symmetry_equiv_pos_as_xyz
'x,y,z'
loop_
_atom_site_label
_atom_site_fract_x
_atom_site_fract_y
_atom_site_fract_z
_atom_site_occupancy
Mg1 0.000 0.000 0.000 1
Cr1 0.771 0.565 0.106 1
Cr2 0.798 0.608 0.580 1
Fe1 0.165 0.352 0.385 1
Fe2 0.193 0.396 0.859 1
Fe3 0.428 0.864 0.303 1
Fe4 0.435 0.878 0.774 1
O1 0.001 0.629 0.839 1
O2 0.047 0.410 0.130 1
O3 0.125 0.968 0.239 1
O4 0.213 0.766 0.521 1
O5 0.389 0.464 0.644 1
O6 0.419 0.212 0.935 1
O7 0.563 0.768 0.039 1
O8 0.591 0.594 0.341 1
O9 0.762 0.229 0.434 1
O10 0.848 0.999 0.750 1
```

Summary:
DFT formation energy, eV per formula unit: -32.906
Polymorph energy (0 for the lowest one), eV/atom: 0.0000

***

No. 6
Density functional theory data (GGA+U) for a geometry-optimized Li7Mn5O12 structure.

```
data_Li7Mn5O12
_cell_length_a 6.464
_cell_length_b 8.374
_cell_length_c 8.634
_cell_angle_alpha 89.85
_cell_angle_beta 89.83
_cell_angle_gamma 70.84
_symmetry_space_group_name_H-M 'P 1'
_symmetry_Int_Tables_number 1
loop_
_symmetry_equiv_pos_as_xyz
'x,y,z'
loop_
_atom_site_label
_atom_site_fract_x
_atom_site_fract_y
_atom_site_fract_z
_atom_site_occupancy
Li1 0.000 0.000 0.000 1
Li2 0.000 0.000 0.500 1
Li3 0.000 0.500 0.000 1
Li4 0.000 0.500 0.500 1
Li5 0.002 0.743 0.251 1
Li6 0.323 0.662 0.494 1
Li7 0.325 0.170 0.001 1
Li8 0.325 0.918 0.769 1
Li9 0.326 0.420 0.269 1
Li10 0.674 0.083 0.231 1
Li11 0.674 0.579 0.730 1
Li12 0.675 0.831 0.000 1
Li13 0.677 0.337 0.505 1
Li14 0.998 0.256 0.748 1
Mn1 0.003 0.253 0.250 1
Mn2 0.330 0.669 0.000 1
Mn3 0.331 0.917 0.241 1
Mn4 0.332 0.169 0.497 1
Mn5 0.336 0.419 0.742 1
Mn6 0.665 0.580 0.257 1
Mn7 0.669 0.830 0.502 1
Mn8 0.670 0.081 0.758 1
Mn9 0.670 0.331 0.999 1
Mn10 0.996 0.747 0.749 1
O1 0.012 0.017 0.250 1
O2 0.015 0.743 0.976 1
O3 0.018 0.246 0.478 1
O4 0.019 0.507 0.749 1
O5 0.317 0.183 0.242 1
O6 0.317 0.658 0.737 1
O7 0.334 0.899 0.014 1
O8 0.337 0.401 0.521 1
O9 0.343 0.183 0.757 1
O10 0.346 0.653 0.255 1
O11 0.347 0.428 0.972 1
O12 0.348 0.928 0.477 1
O13 0.653 0.572 0.027 1
O14 0.654 0.071 0.522 1
O15 0.655 0.347 0.744 1
O16 0.658 0.816 0.242 1
O17 0.664 0.598 0.478 1
O18 0.666 0.101 0.985 1
O19 0.683 0.342 0.262 1
O20 0.683 0.816 0.757 1
O21 0.980 0.493 0.250 1
O22 0.984 0.257 0.023 1
O23 0.984 0.753 0.521 1
O24 0.989 0.984 0.749 1
```

Summary:
DFT formation energy, eV per formula unit: -51.380
Polymorph energy (0 for the lowest one), eV/atom: 0.0159